(1)
DFT (PBE) results for Cd2H18C8O17 after structural relaxation.

a b c (Å): 7.1633 16.2200 16.7346
angles (deg): 90.00 105.66 90.00
Space group P2_1/c (No. 14)
Inequivalent atoms, fractional coordinates:
Cd: 0.0395 0.2436 0.0513 [4 per cell]
Cd: 0.2759 0.5495 0.2517 [4 per cell]
H: 0.0460 0.0107 0.1704 [4 per cell]
H: 0.0459 0.0927 0.9721 [4 per cell]
H: 0.0470 0.1081 0.6358 [4 per cell]
H: 0.0645 0.1065 0.1971 [4 per cell]
H: 0.0715 0.6185 0.1007 [4 per cell]
H: 0.1437 0.5300 0.0808 [4 per cell]
H: 0.1735 0.6310 0.8885 [4 per cell]
H: 0.2079 0.0108 0.4647 [4 per cell]
H: 0.2611 0.1227 0.9931 [4 per cell]
H: 0.2983 0.6930 0.3922 [4 per cell]
H: 0.3473 0.1900 0.4852 [4 per cell]
H: 0.3599 0.1442 0.5678 [4 per cell]
H: 0.3695 0.6746 0.4897 [4 per cell]
H: 0.3787 0.0386 0.1054 [4 per cell]
H: 0.3861 0.5241 0.0344 [4 per cell]
H: 0.3984 0.5128 0.8101 [4 per cell]
H: 0.4084 0.0850 0.3330 [4 per cell]
H: 0.4739 0.0322 0.9027 [4 per cell]
C: 0.1582 0.7300 0.6501 [4 per cell]
C: 0.1699 0.6404 0.6654 [4 per cell]
C: 0.2362 0.2464 0.7539 [4 per cell]
C: 0.2536 0.7460 0.7380 [4 per cell]
C: 0.2655 0.6562 0.7543 [4 per cell]
C: 0.2670 0.1575 0.7706 [4 per cell]
C: 0.3267 0.2358 0.3424 [4 per cell]
C: 0.3576 0.1753 0.8587 [4 per cell]
O: 0.0019 0.0535 0.2035 [4 per cell]
O: 0.0603 0.6281 0.9118 [4 per cell]
O: 0.0710 0.5589 0.1156 [4 per cell]
O: 0.0884 0.7235 0.0882 [4 per cell]
O: 0.1140 0.5769 0.6218 [4 per cell]
O: 0.1540 0.1143 0.0192 [4 per cell]
O: 0.1607 0.2090 0.1917 [4 per cell]
O: 0.2259 0.0935 0.7259 [4 per cell]
O: 0.2574 0.6915 0.4440 [4 per cell]
O: 0.2883 0.0193 0.5217 [4 per cell]
O: 0.3024 0.6906 0.2829 [4 per cell]
O: 0.3247 0.6121 0.8180 [4 per cell]
O: 0.3322 0.1988 0.5423 [4 per cell]
O: 0.3610 0.1718 0.3861 [4 per cell]
O: 0.4304 0.1325 0.9231 [4 per cell]
O: 0.4772 0.0386 0.3146 [4 per cell]
O: 0.4831 0.5255 0.3828 [4 per cell]

The energy of formation from the pure elements is -51.024 eV/f.u. The volume is 1872 Å³/cell. Its raw total energy is -5.782 eV/atom.

(2)
DFT (PBE) results for CdH4C4O6 after structural relaxation.

a b c (Å): 11.9466 11.9466 15.1404
angles (deg): 90.00 90.00 120.00
Space group R-3 (No. 148, hexagonal axes)
Inequivalent atoms, fractional coordinates:
Cd: 0.0000 0.5000 0.0000 [9 per cell]
H: 0.0224 0.2227 0.5375 [18 per cell]
H: 0.0673 0.1795 0.6254 [18 per cell]
C: 0.0244 0.4308 0.4814 [18 per cell]
C: 0.0544 0.5587 0.4476 [18 per cell]
O: 0.0081 0.8379 0.4116 [18 per cell]
O: 0.0133 0.6261 0.8737 [18 per cell]
O: 0.0385 0.8260 0.7171 [18 per cell]

The energy of formation from the pure elements is -16.500 eV/f.u. The volume is 1871 Å³/cell. Its energy above the most stable polymorph in this dataset is 0.0000 eV per atom. Its raw total energy is -6.232 eV/atom.

(3)
DFT (PBE) results for CdH6C2O6 after structural relaxation.

a b c (Å): 9.1607 7.5319 9.8912
angles (deg): 90.00 96.49 90.00
Space group P2_1/c (No. 14)
Inequivalent atoms, fractional coordinates:
Cd: 0.0000 0.0000 0.0000 [2 per cell]
Cd: 0.5000 0.0000 0.5000 [2 per cell]
H: 0.0401 0.1475 0.2835 [4 per cell]
H: 0.1783 0.0193 0.6154 [4 per cell]
H: 0.1987 0.0991 0.2383 [4 per cell]
H: 0.2686 0.6114 0.4593 [4 per cell]
H: 0.2961 0.0949 0.9921 [4 per cell]
H: 0.4461 0.7257 0.7364 [4 per cell]
C: 0.1748 0.6167 0.0725 [4 per cell]
C: 0.4541 0.2063 0.2159 [4 per cell]
O: 0.0619 0.7092 0.0862 [4 per cell]
O: 0.0953 0.1254 0.2041 [4 per cell]
O: 0.2353 0.0111 0.9318 [4 per cell]
O: 0.2846 0.6686 0.0137 [4 per cell]
O: 0.3943 0.0898 0.2845 [4 per cell]
O: 0.4052 0.2499 0.0948 [4 per cell]

The energy of formation from the pure elements is -19.161 eV/f.u. The volume is 678 Å³/cell. Its raw total energy is -5.631 eV/atom.